Entry 1:
# Rb4MgTi2Cu4S8 (PBE, relaxed)
data_Rb4MgTi2Cu4S8
_chemical_formula_sum 'Rb4 Mg1 Ti2 Cu4 S8'
_symmetry_space_group_name_H-M 'P 1'
_symmetry_Int_Tables_number 1
_cell_length_a 5.9128
_cell_length_b 5.7879
_cell_length_c 13.4053
_cell_angle_alpha 90.00
_cell_angle_beta 90.00
_cell_angle_gamma 83.85
loop_
_symmetry_equiv_pos_as_xyz
'x,y,z'
loop_
_atom_site_label
_atom_site_type_symbol
_atom_site_fract_x
_atom_site_fract_y
_atom_site_fract_z
Rb1 Rb 0.7589 0.7598 0.0000
Rb2 Rb 0.3117 0.8400 0.5000
Rb3 Rb 0.6883 0.1600 0.5000
Rb4 Rb 0.2411 0.2402 0.0000
Mg1 Mg 0.0000 0.5000 0.5000
Ti1 Ti 0.5000 0.5000 0.7541
Ti2 Ti 0.5000 0.5000 0.2459
Cu1 Cu 0.0000 0.5000 0.7548
Cu2 Cu 0.5000 0.0000 0.7548
Cu3 Cu 0.0000 0.5000 0.2452
Cu4 Cu 0.5000 0.0000 0.2452
S1 S 0.7273 0.7147 0.6554
S2 S 0.2727 0.2853 0.6554
S3 S 0.7273 0.7147 0.3446
S4 S 0.7456 0.2515 0.1560
S5 S 0.2544 0.7485 0.8440
S6 S 0.2727 0.2853 0.3446
S7 S 0.2544 0.7485 0.1560
S8 S 0.7456 0.2515 0.8440
# Energy relative to the lowest polymorph listed for this composition   15.3 kJ/mol of atoms
# Energy   -4.527 eV/atom
# Calculated formation energy   -1012 meV/atom

Entry 2:
# CaPH3O4 (PBE, relaxed)
data_CaPH3O4
_chemical_formula_sum 'Ca4 P4 H12 O16'
_symmetry_space_group_name_H-M 'P 1'
_symmetry_Int_Tables_number 1
_cell_length_a 6.7929
_cell_length_b 7.7488
_cell_length_c 7.9794
_cell_angle_alpha 69.88
_cell_angle_beta 90.00
_cell_angle_gamma 90.00
loop_
_symmetry_equiv_pos_as_xyz
'x,y,z'
loop_
_atom_site_label
_atom_site_type_symbol
_atom_site_fract_x
_atom_site_fract_y
_atom_site_fract_z
Ca1 Ca 0.8716 0.3898 0.3519
Ca2 Ca 0.3716 0.6102 0.1481
Ca3 Ca 0.1284 0.6102 0.6481
Ca4 Ca 0.6284 0.3898 0.8519
P1 P 0.8663 0.7242 0.9890
P2 P 0.3663 0.2758 0.5110
P3 P 0.1337 0.2758 0.0110
P4 P 0.6337 0.7242 0.4890
H1 H 0.9457 0.1871 0.7223
H2 H 0.4457 0.8129 0.7777
H3 H 0.0543 0.8129 0.2777
H4 H 0.5543 0.1871 0.2223
H5 H 0.9189 0.0035 0.6793
H6 H 0.4189 0.9965 0.8207
H7 H 0.0811 0.9965 0.3207
H8 H 0.5811 0.0035 0.1793
H9 H 0.2263 0.1141 0.0092
H10 H 0.7263 0.8859 0.4908
H11 H 0.7737 0.8859 0.9908
H12 H 0.2737 0.1141 0.5092
O1 O 0.9048 0.1392 0.6275
O2 O 0.7895 0.5672 0.5418
O3 O 0.2105 0.4328 0.4582
O4 O 0.7105 0.5672 0.0418
O5 O 0.4756 0.6756 0.6385
O6 O 0.9756 0.3244 0.8615
O7 O 0.5244 0.3244 0.3615
O8 O 0.0244 0.6756 0.1385
O9 O 0.5523 0.7655 0.3004
O10 O 0.0523 0.2345 0.1996
O11 O 0.4477 0.2345 0.6996
O12 O 0.9477 0.7655 0.8004
O13 O 0.0952 0.8608 0.3725
O14 O 0.5952 0.1392 0.1275
O15 O 0.2895 0.4328 0.9582
O16 O 0.4048 0.8608 0.8725
# Energy   -6.023 eV/atom
# Calculated formation energy   -2174 meV/atom

Entry 3:
# NaMg14Zn (PBE, relaxed)
data_NaMg14Zn
_chemical_formula_sum 'Na1 Mg14 Zn1'
_symmetry_space_group_name_H-M 'P 1'
_symmetry_Int_Tables_number 1
_cell_length_a 6.3907
_cell_length_b 6.3917
_cell_length_c 10.3487
_cell_angle_alpha 90.00
_cell_angle_beta 90.00
_cell_angle_gamma 120.00
loop_
_symmetry_equiv_pos_as_xyz
'x,y,z'
loop_
_atom_site_label
_atom_site_type_symbol
_atom_site_fract_x
_atom_site_fract_y
_atom_site_fract_z
Na1 Na 0.1658 0.8329 0.1250
Mg1 Mg 0.1670 0.3335 0.6250
Mg2 Mg 0.1669 0.8335 0.6250
Mg3 Mg 0.6672 0.3362 0.1250
Mg4 Mg 0.6662 0.3331 0.6250
Mg5 Mg 0.6672 0.8310 0.1250
Mg6 Mg 0.6662 0.8330 0.6250
Mg7 Mg 0.3324 0.1699 0.3746
Mg8 Mg 0.3324 0.1699 0.8754
Mg9 Mg 0.3324 0.6625 0.3746
Mg10 Mg 0.3324 0.6625 0.8754
Mg11 Mg 0.8361 0.1681 0.3714
Mg12 Mg 0.8361 0.1681 0.8786
Mg13 Mg 0.8312 0.6656 0.3779
Mg14 Mg 0.8312 0.6656 0.8721
Zn1 Zn 0.1694 0.3347 0.1250
# Energy   -1.535 eV/atom
# Calculated formation energy   26 meV/atom

Entry 4:
# InTeBr (PBE, relaxed)
data_InTeBr
_chemical_formula_sum 'In4 Te4 Br4'
_symmetry_space_group_name_H-M 'P 1'
_symmetry_Int_Tables_number 1
_cell_length_a 7.7401
_cell_length_b 7.8404
_cell_length_c 8.5525
_cell_angle_alpha 62.64
_cell_angle_beta 90.00
_cell_angle_gamma 90.00
loop_
_symmetry_equiv_pos_as_xyz
'x,y,z'
loop_
_atom_site_label
_atom_site_type_symbol
_atom_site_fract_x
_atom_site_fract_y
_atom_site_fract_z
In1 In 0.6999 0.9751 0.8845
In2 In 0.1999 0.0249 0.6155
In3 In 0.3001 0.0249 0.1155
In4 In 0.8001 0.9751 0.3845
Te1 Te 0.8680 0.2060 0.5612
Te2 Te 0.3680 0.7940 0.9388
Te3 Te 0.1320 0.7940 0.4388
Te4 Te 0.6320 0.2060 0.0612
Br1 Br 0.8966 0.6926 0.0789
Br2 Br 0.3966 0.3074 0.4211
Br3 Br 0.1034 0.3074 0.9211
Br4 Br 0.6034 0.6926 0.5789
# Energy   -3.083 eV/atom
# Calculated formation energy   -750 meV/atom

Entry 5:
# Sr3Al2Si2 (PBE, relaxed)
data_Sr3Al2Si2
_chemical_formula_sum 'Sr3 Al2 Si2'
_symmetry_space_group_name_H-M 'P 1'
_symmetry_Int_Tables_number 1
_cell_length_a 10.1607
_cell_length_b 10.1607
_cell_length_c 10.1607
_cell_angle_alpha 156.12
_cell_angle_beta 152.47
_cell_angle_gamma 36.76
loop_
_symmetry_equiv_pos_as_xyz
'x,y,z'
loop_
_atom_site_label
_atom_site_type_symbol
_atom_site_fract_x
_atom_site_fract_y
_atom_site_fract_z
Sr1 Sr 0.0000 0.5000 0.5000
Sr2 Sr 0.8149 0.8149 0.0000
Sr3 Sr 0.1851 0.1851 0.0000
Al1 Al 0.5670 0.0670 0.5000
Al2 Al 0.4330 0.9330 0.5000
Si1 Si 0.6394 0.6394 0.0000
Si2 Si 0.3606 0.3606 0.0000
# Energy   -3.744 eV/atom
# Calculated formation energy   -380 meV/atom

Entry 6:
# CuSiN2 (PBE, relaxed)
data_CuSiN2
_chemical_formula_sum 'Cu16 Si16 N32'
_symmetry_space_group_name_H-M 'P 1'
_symmetry_Int_Tables_number 1
_cell_length_a 5.0842
_cell_length_b 10.1642
_cell_length_c 12.8570
_cell_angle_alpha 90.00
_cell_angle_beta 90.00
_cell_angle_gamma 90.00
loop_
_symmetry_equiv_pos_as_xyz
'x,y,z'
loop_
_atom_site_label
_atom_site_type_symbol
_atom_site_fract_x
_atom_site_fract_y
_atom_site_fract_z
Cu1 Cu 0.6963 0.9696 0.4382
Cu2 Cu 0.1963 0.5304 0.5618
Cu3 Cu 0.3037 0.4696 0.0618
Cu4 Cu 0.8037 0.0304 0.9382
Cu5 Cu 0.3037 0.0304 0.5618
Cu6 Cu 0.8037 0.4696 0.4382
Cu7 Cu 0.6963 0.5304 0.9382
Cu8 Cu 0.1963 0.9696 0.0618
Cu9 Cu 0.7768 0.2781 0.3077
Cu10 Cu 0.2768 0.2219 0.6923
Cu11 Cu 0.2232 0.7781 0.1923
Cu12 Cu 0.7232 0.7219 0.8077
Cu13 Cu 0.2232 0.7219 0.6923
Cu14 Cu 0.7232 0.7781 0.3077
Cu15 Cu 0.7768 0.2219 0.8077
Cu16 Cu 0.2768 0.2781 0.1923
Si1 Si 0.6562 0.0343 0.1862
Si2 Si 0.1562 0.4657 0.8138
Si3 Si 0.3438 0.5343 0.3138
Si4 Si 0.8438 0.9657 0.6862
Si5 Si 0.3438 0.9657 0.8138
Si6 Si 0.8438 0.5343 0.1862
Si7 Si 0.6562 0.4657 0.6862
Si8 Si 0.1562 0.0343 0.3138
Si9 Si 0.7859 0.2877 0.0610
Si10 Si 0.2859 0.2123 0.9390
Si11 Si 0.2141 0.7877 0.4390
Si12 Si 0.7141 0.7123 0.5610
Si13 Si 0.2141 0.7123 0.9390
Si14 Si 0.7141 0.7877 0.0610
Si15 Si 0.7859 0.2123 0.5610
Si16 Si 0.2859 0.2877 0.4390
N1 N 0.6701 0.4856 0.2964
N2 N 0.1701 0.0144 0.7036
N3 N 0.3299 0.9856 0.2036
N4 N 0.8299 0.5144 0.7964
N5 N 0.3299 0.5144 0.7036
N6 N 0.8299 0.9856 0.2964
N7 N 0.6701 0.0144 0.7964
N8 N 0.1701 0.4856 0.2036
N9 N 0.6269 0.2722 0.4515
N10 N 0.1269 0.2278 0.5485
N11 N 0.3731 0.7722 0.0485
N12 N 0.8731 0.7278 0.9515
N13 N 0.3731 0.7278 0.5485
N14 N 0.8731 0.7722 0.4515
N15 N 0.6269 0.2278 0.9515
N16 N 0.1269 0.2722 0.0485
N17 N 0.7170 0.4549 0.0769
N18 N 0.2170 0.0451 0.9231
N19 N 0.2830 0.9549 0.4231
N20 N 0.7830 0.5451 0.5769
N21 N 0.2830 0.5451 0.9231
N22 N 0.7830 0.9549 0.0769
N23 N 0.7170 0.0451 0.5769
N24 N 0.2170 0.4549 0.4231
N25 N 0.6673 0.2056 0.1715
N26 N 0.1673 0.2944 0.8285
N27 N 0.3327 0.7056 0.3285
N28 N 0.8327 0.7944 0.6715
N29 N 0.3327 0.7944 0.8285
N30 N 0.8327 0.7056 0.1715
N31 N 0.6673 0.2944 0.6715
N32 N 0.1673 0.2056 0.3285
# Energy   -6.843 eV/atom
# Calculated formation energy   -474 meV/atom

Question: Among the records above, which one has the lowest calculated formation energy?
Answer: CaPH3O4

Question: Among the records above, which one has the lowest energy?
Answer: CuSiN2

Question: Which of these has the lowest calculated formation energy?
Answer: CaPH3O4

Question: The lowest energy belongs to which entry?
Answer: CuSiN2